Entry 1:
Material: Mg6BiSb
Method: DFT, GGA-PBE
State: optimized geometry

```
data_Mg6BiSb
_cell_length_a 5.313
_cell_length_b 6.518
_cell_length_c 11.370
_cell_angle_alpha 90.00
_cell_angle_beta 90.00
_cell_angle_gamma 90.00
_symmetry_space_group_name_H-M 'P 1'
_symmetry_Int_Tables_number 1
loop_
_symmetry_equiv_pos_as_xyz
'x,y,z'
loop_
_atom_site_label
_atom_site_fract_x
_atom_site_fract_y
_atom_site_fract_z
Bi1 0.500 0.000 0.667
Bi2 0.500 0.500 0.167
Mg1 0.000 0.255 0.580
Mg2 0.000 0.745 0.580
Mg3 0.000 0.755 0.080
Mg4 0.500 0.250 0.416
Mg5 0.500 0.250 0.916
Mg6 0.500 0.750 0.416
Mg7 0.000 0.500 0.835
Mg8 0.000 0.245 0.080
Mg9 0.500 0.750 0.916
Mg10 0.000 0.000 0.335
Mg11 0.000 0.000 0.837
Mg12 0.000 0.500 0.337
Sb1 0.500 0.000 0.168
Sb2 0.500 0.500 0.668
```

Output
Energy of formation from the pure elements (eV per atom): -0.057

---

Entry 2:
Material: Mg6BiSb
Method: DFT, GGA-PBE
State: optimized geometry

```
data_Mg6BiSb
_cell_length_a 5.366
_cell_length_b 6.182
_cell_length_c 11.972
_cell_angle_alpha 90.00
_cell_angle_beta 90.00
_cell_angle_gamma 90.00
_symmetry_space_group_name_H-M 'P 1'
_symmetry_Int_Tables_number 1
loop_
_symmetry_equiv_pos_as_xyz
'x,y,z'
loop_
_atom_site_label
_atom_site_fract_x
_atom_site_fract_y
_atom_site_fract_z
Mg1 0.000 0.000 0.324
Mg2 0.500 0.250 0.409
Mg3 0.500 0.250 0.909
Mg4 0.000 0.255 0.587
Mg5 0.000 0.245 0.087
Mg6 0.500 0.750 0.409
Mg7 0.500 0.500 0.675
Mg8 0.000 0.745 0.587
Mg9 0.500 0.750 0.909
Mg10 0.500 0.000 0.175
Mg11 0.000 0.755 0.087
Mg12 0.000 0.500 0.824
Sb1 0.000 0.000 0.869
Sb2 0.000 0.500 0.369
Bi1 0.500 0.000 0.639
Bi2 0.500 0.500 0.139
```

Output
Energy of formation from the pure elements (eV per atom): -0.104

---

Entry 3:
Material: Mg14BiSb
Method: DFT, GGA-PBE
State: optimized geometry

```
data_Mg14BiSb
_cell_length_a 10.453
_cell_length_b 6.386
_cell_length_c 6.386
_cell_angle_alpha 62.63
_cell_angle_beta 90.00
_cell_angle_gamma 90.00
_symmetry_space_group_name_H-M 'P 1'
_symmetry_Int_Tables_number 1
loop_
_symmetry_equiv_pos_as_xyz
'x,y,z'
loop_
_atom_site_label
_atom_site_fract_x
_atom_site_fract_y
_atom_site_fract_z
Mg1 0.000 0.000 0.000
Mg2 0.000 0.001 0.500
Mg3 0.000 0.500 0.001
Mg4 0.000 0.500 0.500
Mg5 0.244 0.164 0.669
Mg6 0.244 0.669 0.164
Mg7 0.245 0.671 0.671
Mg8 0.248 0.170 0.170
Mg9 0.500 0.000 0.502
Mg10 0.500 0.502 0.000
Mg11 0.752 0.170 0.170
Mg12 0.755 0.671 0.671
Mg13 0.756 0.164 0.669
Mg14 0.756 0.669 0.164
Bi1 0.500 0.502 0.502
Sb1 0.500 0.005 0.005
```

Output
Energy of formation from the pure elements (eV per atom): -0.041
Space group: No. 38

---

Computed raw total energy, in the same sequence as the records: -2.236; -2.282; -1.930 eV/atom.
Computed relative energy among the computed polymorphs, in the same sequence as the records: 46; 0; 2 meV/atom.